No. 1
A relaxed Nd4MgCo crystal, computed with r2SCAN.

Cell and atoms, written as CIF:
```
data_Nd4MgCo
_symmetry_space_group_name_H-M 'F -4 3 m'
_symmetry_Int_Tables_number 216
_symmetry_space_group_name_Hall 'F -4 2 3'
_cell_length_a 13.9397
_cell_length_b 13.9397
_cell_length_c 13.9397
_cell_angle_alpha 90.00
_cell_angle_beta 90.00
_cell_angle_gamma 90.00
loop_
_atom_site_label
_atom_site_type_symbol
_atom_site_fract_x
_atom_site_fract_y
_atom_site_fract_z
_atom_site_occupancy
Nd1 Nd 0.0000 0.0000 0.1874 1
Nd2 Nd 0.0610 0.2500 0.7500 1
Nd3 Nd 0.1555 0.1555 0.3445 1
Mg1 Mg 0.0786 0.0786 0.5786 1
Co1 Co 0.1408 0.1408 0.1408 1
```

Summary:
Its density is 6.476 g/cm³. The value obtained for the energy of formation is -0.05 eV/atom.



No. 2
A relaxed Mg2Cu3Ge crystal, computed with r2SCAN.

Cell and atoms, written as CIF:
```
data_Mg2Cu3Ge
_symmetry_space_group_name_H-M 'P 63/m m c'
_symmetry_Int_Tables_number 194
_symmetry_space_group_name_Hall '-P 6c 2c'
_cell_length_a 5.0160
_cell_length_b 5.0160
_cell_length_c 7.9553
_cell_angle_alpha 90.00
_cell_angle_beta 90.00
_cell_angle_gamma 120.00
loop_
_atom_site_label
_atom_site_type_symbol
_atom_site_fract_x
_atom_site_fract_y
_atom_site_fract_z
_atom_site_occupancy
Mg1 Mg 0.3333 0.6667 0.0626 1
Cu1 Cu 0.1708 0.3416 0.7500 1
Ge1 Ge 0.0000 0.0000 0.0000 1
```

Summary:
Its density is 5.976 g/cm³. The value obtained for the energy of formation is -0.22 eV/atom.